This record from the Materials Project database describes crystalline Sr2LiTi6N2O11 at its relaxed geometry. The functional is GGA-PBE.

ΔE_f = -3.0231 eV/atom
volume = 12.7 A^3/atom
offset from the most stable computed form = 0.026 eV per atom
corrected total energy (MP2020 scheme) = -8.65 eV/atom

Unit cell a=3.8845 b=7.7984 c=9.8003 alpha=77.00 beta=90.00 gamma=75.56
With the nearest neighbours (Å) after each atom.
Sites, in units of the cell vectors:
O: 0.3142 0.3877 0.5761  3 Ti 2.01-2.08
O: 0.0063 0.0047 0.9985  2 Ti 1.91-1.96, 2 Li 1.94
O: 0.6999 0.6172 0.4231  2 Ti 2.00
O: 0.1432 0.7289 0.6051  2 Ti 1.87-2.05
O: 0.0543 0.9098 0.3169  1 Ti 1.75
O: 0.3748 0.2667 0.8967  1 Li 1.98, 3 Ti 2.00-2.10
O: 0.8716 0.2746 0.3897  1 Ti 1.84
O: 0.7751 0.4658 0.7537  3 Ti 1.97-2.11
O: 0.6343 0.7479 0.0726  1 Li 1.93, 3 Ti 1.96-2.10
O: 0.1700 0.6746 0.8783  2 Ti 1.85-2.00
O: 0.9567 0.1017 0.6735  1 Ti 1.77
Ti: 0.1393 0.7374 0.0502  4 O 1.85-1.96, 1 N 2.00
Ti: 0.1682 0.6809 0.4075  1 O 1.75
Ti: 0.2517 0.5124 0.7440  5 O 1.87-2.08
Ti: 0.8460 0.3239 0.5646  2 O 1.77-1.84
Ti: 0.7568 0.5036 0.2273  3 N 1.92-1.99, 2 O 2.06-2.10
Ti: 0.8758 0.2651 0.9440  1 N 1.80, 3 O 1.91-2.00
Li: 0.5052 0.0071 0.9959  4 O 1.93-1.98
Sr: 0.4414 0.1356 0.2787  4 O 2.55-2.57, 2 N 2.77
Sr: 0.5690 0.8784 0.7138  6 O 2.54-2.76
N: 0.2289 0.5592 0.2369  4 Ti 1.99-2.09
N: 0.8412 0.3353 0.1076  2 Ti 1.80-1.92

---

This record from the Materials Project database describes crystalline K2AgBi at its relaxed geometry. The functional is GGA-PBE.

ΔE_f = -0.3340 eV/atom
volume = 37.2 A^3/atom

Unit cell a=6.8711 b=6.8711 c=6.4847 alpha=90.00 beta=90.00 gamma=103.51
With the nearest neighbours (Å) after each atom.
Sites, in units of the cell vectors:
Bi: 0.7712 0.7712 0.7500  2 Ag 2.82
Bi: 0.2288 0.2288 0.2500  2 Ag 2.82
Ag: 0.5000 0.5000 0.5000  2 Bi 2.82
Ag: 0.5000 0.5000 0.0000  2 Bi 2.82
K: 0.0214 0.6729 0.2500  4 Bi 3.66-3.80, 3 K 3.76-3.99, 4 Ag 3.86-4.08
K: 0.6729 0.0214 0.2500  4 Bi 3.66-3.80, 3 K 3.76-3.99, 4 Ag 3.86-4.08
K: 0.9786 0.3271 0.7500  4 Bi 3.66-3.80, 3 K 3.76-3.99, 4 Ag 3.86-4.08
K: 0.3271 0.9786 0.7500  4 Bi 3.66-3.80, 3 K 3.76-3.99, 4 Ag 3.86-4.08

---

This record from the Materials Project database describes crystalline HfMg14Cr at its relaxed geometry. The functional is GGA-PBE.

ΔE_f = 0.1051 eV/atom
volume = 22.0 A^3/atom
offset from the most stable computed form = 0.000 eV per atom

Unit cell a=6.3513 b=6.2732 c=10.1643 alpha=90.00 beta=90.00 gamma=119.59
With the nearest neighbours (Å) after each atom.
Sites, in units of the cell vectors:
Mg: 0.1661 0.3331 0.6250  12 Mg 3.14-3.18
Mg: 0.6630 0.3367 0.1250  8 Mg 3.07-3.20, 2 Cr 3.12-3.23, 2 Hf 3.16-3.19
Mg: 0.6662 0.3325 0.6250  12 Mg 3.13-3.19
Mg: 0.3296 0.1658 0.3700  1 Cr 3.07, 1 Hf 3.09, 10 Mg 3.10-3.23
Mg: 0.8397 0.1699 0.3679  1 Cr 3.07, 11 Mg 3.10-3.23
Mg: 0.1670 0.8335 0.6250  12 Mg 3.12-3.18
Mg: 0.8380 0.6690 0.3751  1 Hf 3.11, 11 Mg 3.12-3.21
Mg: 0.6662 0.8337 0.6250  12 Mg 3.13-3.19
Mg: 0.8380 0.6690 0.8749  1 Hf 3.11, 11 Mg 3.12-3.21
Mg: 0.3296 0.1658 0.8800  1 Cr 3.07, 1 Hf 3.09, 10 Mg 3.10-3.23
Mg: 0.3296 0.6638 0.3700  1 Cr 3.07, 1 Hf 3.09, 10 Mg 3.10-3.23
Mg: 0.6630 0.8262 0.1250  8 Mg 3.07-3.20, 2 Cr 3.12-3.23, 2 Hf 3.16-3.19
Mg: 0.8397 0.1699 0.8821  1 Cr 3.07, 11 Mg 3.10-3.23
Mg: 0.3296 0.6638 0.8800  1 Cr 3.07, 1 Hf 3.09, 10 Mg 3.10-3.23
Cr: 0.1714 0.3357 0.1250  10 Mg 3.07-3.23, 2 Hf 3.14
Hf: 0.1632 0.8316 0.1250  10 Mg 3.09-3.19, 2 Cr 3.14

---

This record from the Materials Project database describes crystalline Rb3SnP3Se11 at its relaxed geometry. The functional is GGA-PBE.

ΔE_f = -0.7925 eV/atom
volume = 32.6 A^3/atom
corrected total energy (MP2020 scheme) = -4.22 eV/atom

Unit cell a=7.5629 b=14.3341 c=22.5144 alpha=74.02 beta=90.00 gamma=90.00
With the nearest neighbours (Å) after each atom.
Sites, in units of the cell vectors:
Rb: 0.0354 0.3447 0.9316  8 Se 3.58-3.96, 1 P 3.99
Rb: 0.6309 0.5112 0.7696  9 Se 3.67-4.04
Rb: 0.8213 0.1158 0.5080  8 Se 3.60-3.97, 1 P 3.84
Rb: 0.9646 0.6553 0.0684  8 Se 3.58-3.96, 1 P 3.99
Rb: 0.8691 0.0112 0.7696  9 Se 3.67-4.04
Rb: 0.1787 0.8842 0.4920  8 Se 3.60-3.97, 1 P 3.84
Rb: 0.3213 0.3842 0.4920  8 Se 3.60-3.97, 1 P 3.84
Rb: 0.1309 0.9888 0.2304  9 Se 3.67-4.04
Rb: 0.3691 0.4888 0.2304  9 Se 3.67-4.04
Rb: 0.4646 0.8447 0.9316  8 Se 3.58-3.96, 1 P 3.99
Rb: 0.6787 0.6158 0.5080  8 Se 3.60-3.97, 1 P 3.84
Rb: 0.5354 0.1553 0.0684  8 Se 3.58-3.96, 1 P 3.99
Se: 0.3919 0.4174 0.6565  1 P 2.24
Se: 0.9071 0.7027 0.6262  1 P 2.24
Se: 0.9598 0.8258 0.9187  1 P 2.18
Se: 0.1081 0.9174 0.6565  1 P 2.24
Se: 0.6081 0.5826 0.3435  1 P 2.24
Se: 0.8677 0.4831 0.2348  1 P 2.26
Se: 0.2039 0.6171 0.8860  1 P 2.32, 1 Se 2.36
Se: 0.5990 0.9004 0.6593  1 P 2.16
Se: 0.8757 0.7758 0.1908  1 Se 2.36
Se: 0.1520 0.2601 0.2141  1 P 2.27
Se: 0.5929 0.2027 0.6262  1 P 2.24
Se: 0.0990 0.5996 0.3407  1 P 2.16
Se: 0.7174 0.0769 0.9420  1 P 2.17
Se: 0.8458 0.3827 0.4908  1 P 2.16
Se: 0.3677 0.0169 0.7652  1 P 2.26
Se: 0.7039 0.8829 0.1140  1 P 2.32, 1 Se 2.36
Se: 0.8793 0.7956 0.3698  1 P 2.25
Se: 0.6323 0.9831 0.2348  1 P 2.26
Se: 0.6520 0.2399 0.7859  1 P 2.27
Se: 0.6243 0.2758 0.1908  1 Se 2.36
Se: 0.7961 0.3829 0.1140  1 P 2.32, 1 Se 2.36
Se: 0.5402 0.3258 0.9187  1 P 2.18
Se: 0.2826 0.9231 0.0580  1 P 2.17
Se: 0.1207 0.2044 0.6302  1 P 2.25
Se: 0.3480 0.7601 0.2141  1 P 2.27
Se: 0.3793 0.7044 0.6302  1 P 2.25
Se: 0.6207 0.2956 0.3698  1 P 2.25
Se: 0.4598 0.6742 0.0813  1 P 2.18
Se: 0.3458 0.1173 0.5092  1 P 2.16
Se: 0.0402 0.1742 0.0813  1 P 2.18
Se: 0.1542 0.6173 0.5092  1 P 2.16
Se: 0.8480 0.7399 0.7859  1 P 2.27
Se: 0.0929 0.2973 0.3738  1 P 2.24
Se: 0.6542 0.8827 0.4908  1 P 2.16
Se: 0.7826 0.5769 0.9420  1 P 2.17
Se: 0.2961 0.1171 0.8860  1 P 2.32, 1 Se 2.36
Se: 0.8919 0.0826 0.3435  1 P 2.24
Se: 0.3757 0.7242 0.8092  1 Se 2.36
Se: 0.1243 0.2242 0.8092  1 Se 2.36
Se: 0.9010 0.4004 0.6593  1 P 2.16
Se: 0.4071 0.7973 0.3738  1 P 2.24
Se: 0.2174 0.4231 0.0580  1 P 2.17
Se: 0.1323 0.5169 0.7652  1 P 2.26
Se: 0.4010 0.0996 0.3407  1 P 2.16
P: 0.6467 0.8719 0.3972  3 Se 2.16-2.25, 1 P 2.28
P: 0.6312 0.0200 0.3261  3 Se 2.16-2.26, 1 P 2.28
P: 0.1467 0.6281 0.6028  3 Se 2.16-2.25, 1 P 2.28
P: 0.0632 0.3034 0.1138  4 Se 2.17-2.32
P: 0.8533 0.3719 0.3972  3 Se 2.16-2.25, 1 P 2.28
P: 0.3533 0.1281 0.6028  3 Se 2.16-2.25, 1 P 2.28
P: 0.5632 0.1966 0.8862  4 Se 2.17-2.32
P: 0.4368 0.8034 0.1138  4 Se 2.17-2.32
P: 0.1312 0.4800 0.6739  3 Se 2.16-2.26, 1 P 2.28
P: 0.3688 0.9800 0.6739  3 Se 2.16-2.26, 1 P 2.28
P: 0.9368 0.6966 0.8862  4 Se 2.17-2.32
P: 0.8688 0.5200 0.3261  3 Se 2.16-2.26, 1 P 2.28
Sn: 0.3598 0.2214 0.7198  6 Se 2.70-2.83
Sn: 0.1402 0.7214 0.7198  6 Se 2.70-2.83
Sn: 0.8598 0.2786 0.2802  6 Se 2.70-2.83
Sn: 0.6402 0.7786 0.2802  6 Se 2.70-2.83